Entry from the Materials Project database: Na10Zn3Si6Ge5S6O48 after structural relaxation (PBE).

Geometry as CIF:
```
data_Na10Zn3Si6Ge5S6O48
_chemical_formula_sum 'Na30 Zn9 Si18 Ge15 S18 O144'
_symmetry_space_group_name_H-M 'P 1'
_symmetry_Int_Tables_number 1
_cell_length_a 8.822
_cell_length_b 15.231
_cell_length_c 22.000
_cell_angle_alpha 88.71
_cell_angle_beta 89.63
_cell_angle_gamma 89.61
loop_
_symmetry_equiv_pos_as_xyz
'x,y,z'
loop_
_atom_site_label
_atom_site_fract_x
_atom_site_fract_y
_atom_site_fract_z
_atom_site_occupancy
Na1 0.000 0.000 0.000 1
Na2 0.000 0.341 0.331 1
Na3 0.018 0.370 0.000 1
Na4 0.130 0.537 0.172 1
Na5 0.138 0.868 0.504 1
Na6 0.142 0.497 0.505 1
Na7 0.190 0.189 0.500 1
Na8 0.307 0.685 0.753 1
Na9 0.314 0.695 0.253 1
Na10 0.324 0.352 0.917 1
Na11 0.325 0.022 0.089 1
Na12 0.327 0.355 0.420 1
Na13 0.328 0.021 0.590 1
Na14 0.454 0.193 0.000 1
Na15 0.460 0.861 0.670 1
Na16 0.462 0.523 0.335 1
Na17 0.499 0.498 0.999 1
Na18 0.510 0.194 0.330 1
Na19 0.518 0.872 0.996 1
Na20 0.645 0.994 0.503 1
Na21 0.679 0.023 0.828 1
Na22 0.806 0.845 0.420 1
Na23 0.814 0.184 0.750 1
Na24 0.818 0.526 0.089 1
Na25 0.818 0.846 0.915 1
Na26 0.819 0.525 0.588 1
Na27 0.822 0.185 0.248 1
Na28 0.943 0.691 0.006 1
Na29 0.960 0.360 0.665 1
Na30 0.961 0.022 0.330 1
Zn1 0.317 0.355 0.568 1
Zn2 0.320 0.687 0.398 1
Zn3 0.322 0.350 0.058 1
Zn4 0.332 0.027 0.237 1
Zn5 0.351 0.022 0.738 1
Zn6 0.809 0.848 0.065 1
Zn7 0.812 0.857 0.563 1
Zn8 0.834 0.522 0.234 1
Zn9 0.845 0.529 0.735 1
Si1 0.107 0.181 0.995 1
Si2 0.119 0.525 0.331 1
Si3 0.178 0.545 0.998 1
Si4 0.179 0.161 0.332 1
Si5 0.180 0.502 0.663 1
Si6 0.462 0.871 0.833 1
Si7 0.468 0.827 0.497 1
Si8 0.477 0.176 0.831 1
Si9 0.599 0.686 0.999 1
Si10 0.618 0.016 0.333 1
Si11 0.678 0.043 0.999 1
Si12 0.679 0.373 0.331 1
Si13 0.682 0.003 0.665 1
Si14 0.687 0.332 0.998 1
Si15 0.959 0.329 0.499 1
Si16 0.969 0.709 0.163 1
Si17 0.974 0.669 0.833 1
Si18 0.976 0.042 0.496 1
Ge1 0.309 0.682 0.100 1
Ge2 0.317 0.687 0.604 1
Ge3 0.323 0.352 0.275 1
Ge4 0.325 0.685 0.894 1
Ge5 0.328 0.013 0.433 1
Ge6 0.334 0.359 0.767 1
Ge7 0.342 0.034 0.931 1
Ge8 0.808 0.850 0.772 1
Ge9 0.812 0.189 0.901 1
Ge10 0.820 0.850 0.265 1
Ge11 0.823 0.504 0.431 1
Ge12 0.823 0.531 0.941 1
Ge13 0.825 0.183 0.092 1
Ge14 0.833 0.184 0.394 1
Ge15 0.841 0.177 0.600 1
S1 0.027 0.682 0.500 1
S2 0.032 0.346 0.165 1
S3 0.036 0.021 0.834 1
S4 0.111 0.851 0.665 1
S5 0.175 0.873 0.331 1
S6 0.177 0.206 0.667 1
S7 0.184 0.832 0.999 1
S8 0.469 0.498 0.166 1
S9 0.477 0.209 0.166 1
S10 0.481 0.541 0.499 1
S11 0.525 0.852 0.167 1
S12 0.534 0.519 0.833 1
S13 0.539 0.187 0.500 1
S14 0.614 0.351 0.666 1
S15 0.675 0.706 0.665 1
S16 0.686 0.667 0.333 1
S17 0.967 0.003 0.164 1
S18 0.972 0.371 0.833 1
O1 0.003 0.206 0.663 1
O2 0.003 0.869 0.328 1
O3 0.004 0.155 0.057 1
O4 0.007 0.499 0.392 1
O5 0.014 0.836 0.719 1
O6 0.020 0.845 0.004 1
O7 0.027 0.856 0.608 1
O8 0.032 0.537 0.269 1
O9 0.117 0.697 0.445 1
O10 0.126 0.336 0.224 1
O11 0.128 0.033 0.779 1
O12 0.129 0.661 0.554 1
O13 0.130 0.359 0.112 1
O14 0.131 0.008 0.891 1
O15 0.131 0.013 0.170 1
O16 0.142 0.363 0.828 1
O17 0.143 0.340 0.500 1
O18 0.157 0.680 0.846 1
O19 0.164 0.037 0.489 1
O20 0.168 0.699 0.161 1
O21 0.183 0.099 0.276 1
O22 0.191 0.605 0.060 1
O23 0.196 0.929 0.388 1
O24 0.200 0.446 0.603 1
O25 0.205 0.266 0.718 1
O26 0.207 0.776 0.946 1
O27 0.208 0.928 0.669 1
O28 0.213 0.090 0.989 1
O29 0.216 0.264 0.001 1
O30 0.216 0.769 0.664 1
O31 0.223 0.429 0.327 1
O32 0.232 0.117 0.676 1
O33 0.236 0.785 0.338 1
O34 0.238 0.915 0.277 1
O35 0.239 0.242 0.609 1
O36 0.241 0.601 0.341 1
O37 0.248 0.448 0.003 1
O38 0.257 0.792 0.055 1
O39 0.258 0.919 0.994 1
O40 0.260 0.260 0.325 1
O41 0.264 0.451 0.725 1
O42 0.267 0.591 0.941 1
O43 0.268 0.601 0.657 1
O44 0.271 0.119 0.392 1
O45 0.377 0.784 0.561 1
O46 0.381 0.930 0.494 1
O47 0.389 0.586 0.165 1
O48 0.391 0.273 0.822 1
O49 0.391 0.906 0.771 1
O50 0.394 0.455 0.223 1
O51 0.396 0.772 0.843 1
O52 0.397 0.136 0.895 1
O53 0.408 0.121 0.170 1
O54 0.411 0.576 0.443 1
O55 0.417 0.253 0.111 1
O56 0.420 0.451 0.506 1
O57 0.424 0.928 0.175 1
O58 0.426 0.773 0.440 1
O59 0.432 0.438 0.830 1
O60 0.435 0.449 0.112 1
O61 0.435 0.598 0.837 1
O62 0.437 0.264 0.506 1
O63 0.437 0.769 0.164 1
O64 0.439 0.941 0.893 1
O65 0.444 0.106 0.498 1
O66 0.445 0.261 0.223 1
O67 0.447 0.596 0.553 1
O68 0.466 0.110 0.778 1
O69 0.490 0.034 0.993 1
O70 0.491 0.667 0.061 1
O71 0.491 0.704 0.941 1
O72 0.492 0.362 0.325 1
O73 0.500 0.013 0.670 1
O74 0.502 0.706 0.661 1
O75 0.508 0.345 0.005 1
O76 0.515 0.998 0.396 1
O77 0.517 0.335 0.723 1
O78 0.521 0.045 0.276 1
O79 0.522 0.360 0.611 1
O80 0.522 0.678 0.340 1
O81 0.611 0.868 0.110 1
O82 0.623 0.504 0.890 1
O83 0.625 0.199 0.443 1
O84 0.628 0.527 0.779 1
O85 0.628 0.838 0.222 1
O86 0.631 0.508 0.174 1
O87 0.639 0.171 0.554 1
O88 0.646 0.843 0.503 1
O89 0.648 0.203 0.163 1
O90 0.652 0.539 0.495 1
O91 0.653 0.868 0.829 1
O92 0.666 0.181 0.841 1
O93 0.689 0.440 0.391 1
O94 0.692 0.111 0.057 1
O95 0.696 0.763 0.721 1
O96 0.702 0.267 0.941 1
O97 0.703 0.594 0.995 1
O98 0.706 0.947 0.605 1
O99 0.709 0.614 0.279 1
O100 0.710 0.429 0.673 1
O101 0.712 0.768 0.001 1
O102 0.716 0.272 0.665 1
O103 0.728 0.616 0.674 1
O104 0.730 0.103 0.343 1
O105 0.734 0.928 0.322 1
O106 0.743 0.745 0.611 1
O107 0.744 0.273 0.344 1
O108 0.753 0.947 0.006 1
O109 0.757 0.625 0.390 1
O110 0.758 0.085 0.938 1
O111 0.760 0.952 0.728 1
O112 0.761 0.756 0.328 1
O113 0.768 0.429 0.988 1
O114 0.769 0.103 0.658 1
O115 0.769 0.412 0.275 1
O116 0.780 0.289 0.058 1
O117 0.882 0.430 0.494 1
O118 0.884 0.626 0.896 1
O119 0.885 0.284 0.563 1
O120 0.887 0.088 0.439 1
O121 0.888 0.093 0.162 1
O122 0.894 0.770 0.824 1
O123 0.899 0.962 0.222 1
O124 0.903 0.611 0.169 1
O125 0.905 0.281 0.840 1
O126 0.905 0.409 0.777 1
O127 0.911 0.944 0.500 1
O128 0.913 0.752 0.101 1
O129 0.927 0.268 0.440 1
O130 0.932 0.601 0.496 1
O131 0.933 0.100 0.838 1
O132 0.933 0.954 0.110 1
O133 0.934 0.424 0.168 1
O134 0.935 0.761 0.509 1
O135 0.935 0.942 0.833 1
O136 0.937 0.774 0.224 1
O137 0.942 0.263 0.163 1
O138 0.943 0.425 0.888 1
O139 0.958 0.107 0.555 1
O140 0.959 0.611 0.776 1
O141 0.991 0.537 0.992 1
O142 0.995 0.202 0.938 1
O143 0.996 0.181 0.342 1
O144 0.998 0.508 0.670 1
```

Output
volume = 2955 Å³/cell
electronic total energy = -6.084 eV/atom
DFT formation energy = -2.2118 eV/atom
mass density = 3.23 g cm⁻³